No. 1
PBE with a Hubbard U Co3P6WO24, relaxed; energy of formation = -2.106 eV per atom; SG = R3 (146)
1.0
4.3569 2.5155 7.3466
-4.3569 2.5155 7.3466
0.0000 -5.0309 7.3466
Co P W O
3 6 1 24
direct
0.0000 0.0000 0.0000
0.2164 0.2164 0.2164
0.4993 0.4993 0.4993
0.1127 0.8245 0.3889
0.3206 0.6066 0.8924
0.3889 0.1127 0.8245
0.6066 0.8924 0.3206
0.8245 0.3889 0.1127
0.8924 0.3206 0.6066
0.7166 0.7166 0.7166
0.0715 0.3020 0.4348
0.0768 0.8550 0.2238
0.1306 0.9969 0.3678
0.1438 0.7766 0.9253
0.2238 0.0768 0.8550
0.2789 0.6467 0.4226
0.3020 0.4348 0.0715
0.3508 0.5784 0.7233
0.3678 0.1306 0.9969
0.4226 0.2789 0.6467
0.4348 0.0715 0.3020
0.4963 0.6421 0.8558
0.5719 0.9333 0.7918
0.5784 0.7233 0.3508
0.6421 0.8558 0.4963
0.6467 0.4226 0.2789
0.7233 0.3508 0.5784
0.7766 0.9253 0.1438
0.7918 0.5719 0.9333
0.8550 0.2238 0.0768
0.8558 0.4963 0.6421
0.9253 0.1438 0.7766
0.9333 0.7918 0.5719
0.9969 0.3678 0.1306

=====

No. 2
PBE with a Hubbard U Li3V3B2O10, relaxed; energy of formation = -2.567 eV per atom; relative energy among the computed polymorphs = 11 meV/atom; SG = P1 (1)
1.0
3.0138 0.0000 0.0000
0.1202 9.3374 0.0000
0.0514 0.3107 12.1609
Li V B O
6 6 4 20
direct
0.0000 0.0000 0.0000
0.9998 0.4860 0.2151
0.0007 0.0037 0.7183
0.0050 0.0193 0.4414
0.5025 0.5012 0.7195
0.5049 0.2728 0.3346
0.0013 0.4975 0.4980
0.0047 0.4983 0.9368
0.4834 0.7667 0.6097
0.4857 0.0069 0.2212
0.4990 0.7398 0.1063
0.5206 0.2356 0.8284
0.5000 0.2271 0.5749
0.5021 0.2734 0.0887
0.5028 0.7300 0.3509
0.5036 0.7710 0.8605
0.0027 0.4135 0.3781
0.0034 0.6133 0.0647
0.0121 0.1003 0.2793
0.0146 0.3789 0.7978
0.0200 0.8802 0.5739
0.4837 0.1629 0.6797
0.4969 0.1249 0.0832
0.4978 0.6509 0.4577
0.4992 0.8443 0.9560
0.5008 0.6514 0.2587
0.5034 0.3517 0.1777
0.5044 0.1557 0.4823
0.5045 0.3472 0.9794
0.5042 0.3857 0.5716
0.5039 0.6188 0.8627
0.5117 0.8752 0.3559
0.5142 0.8423 0.7588
0.9838 0.1208 0.8641
0.9875 0.6222 0.6376
0.9959 0.8863 0.1502

=====

No. 3
PBE with a Hubbard U NaFe2P2HO8, relaxed; energy of formation = -2.286 eV per atom; relative energy among the computed polymorphs = 0 meV/atom; SG = P-1 (2)
1.0
5.2636 0.0000 0.0000
-2.4016 8.3790 0.0000
-1.5070 -1.3614 8.8560
Na Fe P H O
2 4 4 2 16
direct
0.0932 0.3165 0.3235
0.9068 0.6835 0.6765
0.1888 0.8846 0.0991
0.2768 0.3908 0.7367
0.7232 0.6092 0.2633
0.8112 0.1154 0.9009
0.3483 0.7494 0.4213
0.3801 0.2551 0.0631
0.6199 0.7449 0.9369
0.6517 0.2506 0.5787
0.4235 0.9372 0.6196
0.5765 0.0628 0.3804
0.0957 0.6042 0.3589
0.1950 0.1185 0.1302
0.2061 0.2569 0.9043
0.3011 0.8229 0.5794
0.3504 0.7742 0.9541
0.3802 0.8824 0.3184
0.3960 0.3058 0.5501
0.4245 0.4141 0.1679
0.5755 0.5859 0.8321
0.6040 0.6942 0.4499
0.6198 0.1176 0.6816
0.6496 0.2258 0.0459
0.6989 0.1771 0.4206
0.7939 0.7431 0.0957
0.8050 0.8815 0.8698
0.9043 0.3958 0.6411

=====

No. 4
PBE with a Hubbard U Li3Mn4NiO8, relaxed; energy of formation = -2.004 eV per atom; SG = C2/m (12)
1.0
5.1537 -3.0361 0.0000
5.1537 3.0361 0.0000
-3.5584 0.0000 4.9260
Li Mn Ni O
3 4 1 8
direct
0.0000 0.0000 0.0000
0.0000 0.5000 0.0000
0.5000 0.0000 0.0000
0.0000 0.0000 0.5000
0.0000 0.5000 0.5000
0.5000 0.0000 0.5000
0.5000 0.5000 0.0000
0.5000 0.5000 0.5000
0.2391 0.7355 0.7330
0.2506 0.2506 0.2912
0.2540 0.2540 0.7755
0.2645 0.7609 0.2670
0.7355 0.2391 0.7330
0.7460 0.7460 0.2245
0.7494 0.7494 0.7088
0.7609 0.2645 0.2670

=====

No. 5
PBE with a Hubbard U Li4CoTeO6, relaxed; energy of formation = -1.989 eV per atom; piezoelectric modulus e_max = 0.4 C/m2; SG = C2 (5)
1.0
2.6316 -4.5149 0.0000
2.6316 4.5149 0.0000
-1.8418 0.0000 4.8923
Li Co Te O
4 1 1 6
direct
0.0000 0.0000 0.0000
0.1645 0.8355 0.5000
0.4963 0.5037 0.5000
0.8373 0.1627 0.5000
0.3317 0.6683 0.0000
0.6658 0.3342 0.0000
0.0546 0.4175 0.2338
0.2858 0.2649 0.7642
0.4408 0.1016 0.2241
0.5825 0.9454 0.7662
0.7351 0.7142 0.2358
0.8984 0.5592 0.7759

=====

No. 6
PBE with a Hubbard U Li9Mn7O16, relaxed; energy of formation = -2.122 eV per atom; relative energy among the computed polymorphs = 23 meV/atom; SG = C2/m (12)
1.0
5.2702 -5.7855 0.0000
5.2702 5.7855 0.0000
-3.1952 0.0000 4.9033
Li Mn O
9 7 16
direct
0.0000 0.0000 0.0000
0.0000 0.0000 0.5000
0.1203 0.3659 0.4964
0.2489 0.7511 0.0000
0.3659 0.1203 0.4964
0.5000 0.5000 0.0000
0.6341 0.8797 0.5036
0.7511 0.2489 0.0000
0.8797 0.6341 0.5036
0.1181 0.3667 0.9916
0.2475 0.7525 0.5000
0.3667 0.1181 0.9916
0.5000 0.5000 0.5000
0.6333 0.8819 0.0084
0.7525 0.2475 0.5000
0.8819 0.6333 0.0084
0.0035 0.5040 0.7747
0.1214 0.8570 0.2520
0.1430 0.8786 0.7480
0.2427 0.2427 0.2238
0.2549 0.2549 0.7796
0.3674 0.6150 0.2635
0.3850 0.6326 0.7365
0.4960 0.9965 0.2253
0.5040 0.0035 0.7747
0.6150 0.3674 0.2635
0.6326 0.3850 0.7365
0.7451 0.7451 0.2204
0.7573 0.7573 0.7762
0.8570 0.1214 0.2520
0.8786 0.1430 0.7480
0.9965 0.4960 0.2253